1.
Entry from Materials Project: an optimized crystal structure of V4O3F9 (r²SCAN).

Cell and atoms, written as POSCAR:
```
V4O3F9
1.0
5.092 0.000 0.000
2.539 4.630 0.000
2.472 1.076 16.836
V O F
8 6 18
Direct
0.000 0.000 0.000
0.058 0.116 0.620
0.235 0.222 0.244
0.364 0.401 0.871
0.482 0.480 0.497
0.572 0.653 0.124
0.715 0.758 0.746
0.828 0.877 0.363
0.325 0.935 0.188
0.328 0.814 0.040
0.536 0.591 0.830
0.603 0.034 0.290
0.807 0.297 0.539
0.894 0.921 0.665
0.048 0.701 0.935
0.059 0.085 0.336
0.087 0.700 0.452
0.098 0.530 0.787
0.129 0.181 0.910
0.137 0.554 0.306
0.263 0.355 0.581
0.338 0.983 0.705
0.362 0.830 0.553
0.376 0.417 0.158
0.551 0.163 0.437
0.584 0.221 0.963
0.632 0.057 0.814
0.641 0.634 0.405
0.797 0.449 0.684
0.801 0.850 0.086
0.832 0.456 0.211
0.867 0.336 0.061
```

DFT formation energy in eV/atom: -3.043
Energy relative to the lowest polymorph listed for this composition in meV/atom: 2
Raw total energy in eV per atom: -9.44
Calculated density in g cm⁻³: 3.54


2.
Entry from Materials Project: an optimized crystal structure of La4SbTe7 (r²SCAN).

Cell and atoms, written as POSCAR:
```
La4SbTe7
1.0
4.525 0.000 0.000
0.000 4.525 0.000
0.000 0.000 18.816
La Sb Te
4 1 7
Direct
0.000 0.500 0.137
0.000 0.500 0.638
0.500 0.000 0.362
0.500 0.000 0.863
0.000 0.000 0.500
0.000 0.000 0.000
0.000 0.500 0.315
0.000 0.500 0.817
0.500 0.000 0.183
0.500 0.000 0.685
0.500 0.500 0.000
0.500 0.500 0.500
```

DFT formation energy in eV/atom: -1.590
Raw total energy in eV per atom: -28.47
Calculated density in g cm⁻³: 6.77


3.
Entry from Materials Project: an optimized crystal structure of TmIn (r²SCAN).

Cell and atoms, written as POSCAR:
```
TmIn
1.0
3.697 0.000 0.000
0.000 3.697 0.000
0.000 0.000 3.697
Tm In
1 1
Direct
0.000 0.000 0.000
0.500 0.500 0.500
```

DFT formation energy in eV/atom: -0.541
Raw total energy in eV per atom: -29.39
Calculated density in g cm⁻³: 9.33